No. 1
Here is crystalline SrSmCo4O12 at its relaxed geometry from the Materials Project. Energies are from PBE with a Hubbard U.

Results
**E_form**: -1.41 eV/atom
**Uncorrected energy**: -5.820 eV per atom

Geometry as POSCAR:
```
SrSmCo4O12
1.0
-1.5551 -3.4791 3.7174
2.1289 -3.9751 -2.8298
6.5451 0.9339 3.6121
Sr Sm Co O
1 1 4 12
direct
0.0000 0.0000 0.5000
0.5000 0.5000 0.0000
0.0000 0.5000 0.7460
0.0000 0.5000 0.2540
0.5000 0.0000 0.2540
0.5000 0.0000 0.7460
0.2571 0.2571 0.2421
0.2571 0.2571 0.7579
0.7429 0.7429 0.2421
0.7429 0.7429 0.7579
0.7429 0.2571 0.7579
0.7429 0.2571 0.2421
0.2571 0.7429 0.7579
0.2571 0.7429 0.2421
0.0000 0.5000 0.5000
0.0000 0.5000 0.0000
0.5000 0.0000 0.5000
0.5000 0.0000 0.0000
```



No. 2
Here is crystalline CoSnO3 at its relaxed geometry from the Materials Project. Energies are from PBE with a Hubbard U.

Results
**E_form**: -1.10 eV/atom
**Uncorrected energy**: -5.553 eV per atom

Geometry as POSCAR:
```
CoSnO3
1.0
3.7427 0.0000 0.0000
0.0000 3.7427 0.0000
0.0000 0.0000 3.7427
Co Sn O
1 1 3
direct
0.5000 0.5000 0.5000
0.0000 0.0000 0.0000
0.5000 0.5000 0.0000
0.5000 0.0000 0.5000
0.0000 0.5000 0.5000
```



No. 3
Here is crystalline CoSnO3 at its relaxed geometry from the Materials Project. Energies are from PBE with a Hubbard U.

Results
**E_form**: -1.75 eV/atom
**Uncorrected energy**: -6.202 eV per atom

Geometry as POSCAR:
```
CoSnO3
1.0
2.4506 -4.7669 -0.0002
5.6668 -0.0993 -0.0679
-2.4508 -1.2604 8.8616
Co Sn O
4 4 12
direct
0.9619 0.0763 0.6793
0.0381 0.9237 0.3207
0.4619 0.0763 0.1793
0.5381 0.9237 0.8207
0.7789 0.4422 0.0737
0.2789 0.4422 0.5737
0.7211 0.5578 0.4263
0.2211 0.5578 0.9263
0.0192 0.2540 0.2240
0.5192 0.2541 0.7240
0.5725 0.2540 0.3784
0.0725 0.2540 0.8784
0.9726 0.7461 0.4755
0.4726 0.7460 0.9755
0.5274 0.2540 0.0245
0.0274 0.2539 0.5245
0.9275 0.7460 0.1216
0.4275 0.7460 0.6216
0.4808 0.7459 0.2760
0.9808 0.7460 0.7760
```



No. 4
Here is crystalline Co2SnO4 at its relaxed geometry from the Materials Project. Energies are from PBE with a Hubbard U.

Results
**E_form**: -1.63 eV/atom
**Energy above the lowest structure with this stoichiometry**: 19 meV/atom
**Uncorrected energy**: -6.196 eV per atom

Geometry as POSCAR:
```
Co2SnO4
1.0
5.4234 -0.0380 3.0467
1.7686 5.0962 3.0514
0.0155 0.0406 30.4358
Co Sn O
20 10 40
direct
0.2390 0.2512 0.0488
0.0124 0.0150 0.1974
0.6200 0.6382 0.0248
0.2330 0.2358 0.2543
0.0124 0.0110 0.3984
0.6215 0.6274 0.1250
0.6227 0.6261 0.2253
0.2343 0.2357 0.4539
0.0128 0.0101 0.5984
0.6238 0.6242 0.3255
0.6239 0.6239 0.4257
0.2346 0.2327 0.6540
0.0129 0.0023 0.7998
0.6239 0.6234 0.5257
0.6248 0.6211 0.6258
0.2359 0.2487 0.8514
0.6256 0.6196 0.7258
0.6334 0.6072 0.8266
0.6308 0.1367 0.9213
0.6316 0.6274 0.9210
0.0270 0.0140 0.9924
0.1251 0.6262 0.1258
0.6200 0.1320 0.1254
0.1238 0.6241 0.3256
0.6239 0.1243 0.3256
0.1242 0.6233 0.5258
0.6237 0.1235 0.5259
0.1262 0.6196 0.7254
0.6255 0.1181 0.7261
0.1357 0.6309 0.9208
0.3743 0.3839 0.0778
0.3708 0.8491 0.0788
0.3738 0.3786 0.1723
0.8376 0.3829 0.0781
0.3772 0.3785 0.2777
0.4093 0.8751 0.1710
0.8748 0.8805 0.0762
0.8708 0.4132 0.1710
0.3770 0.8423 0.2778
0.3768 0.3767 0.3715
0.8405 0.3792 0.2777
0.8700 0.8768 0.1715
0.4078 0.8719 0.3717
0.3775 0.3776 0.4779
0.8738 0.8747 0.2783
0.8724 0.4074 0.3717
0.3772 0.8418 0.4779
0.3771 0.3761 0.5716
0.8414 0.3778 0.4779
0.8739 0.8737 0.3719
0.4077 0.8709 0.5719
0.3795 0.3725 0.6779
0.8730 0.4061 0.5718
0.8728 0.8728 0.4789
0.3780 0.8392 0.6779
0.3814 0.3752 0.7705
0.8425 0.3731 0.6780
0.8738 0.8724 0.5722
0.4104 0.8638 0.7731
0.3720 0.3782 0.8780
0.8775 0.3988 0.7719
0.8736 0.8686 0.6790
0.3772 0.8536 0.8773
0.3651 0.3908 0.9707
0.8487 0.3793 0.8782
0.8761 0.8657 0.7725
0.4113 0.8648 0.9730
0.8707 0.8640 0.8807
0.8675 0.4034 0.9740
0.8722 0.8651 0.9741
```



No. 5
Here is crystalline CoSnO3 at its relaxed geometry from the Materials Project. Energies are from PBE with a Hubbard U.

Results
**E_form**: -1.71 eV/atom
**Uncorrected energy**: -6.160 eV per atom

Geometry as POSCAR:
```
CoSnO3
1.0
5.3949 0.0000 0.0000
0.0000 5.4228 0.0000
0.0000 0.0000 7.8105
Co Sn O
4 4 12
direct
0.0274 0.0135 0.7500
0.5274 0.4865 0.7500
0.4726 0.5135 0.2500
0.9726 0.9865 0.2500
0.5000 0.0000 0.0000
0.5000 0.0000 0.5000
0.0000 0.5000 0.0000
0.0000 0.5000 0.5000
0.5939 0.8751 0.2500
0.8318 0.8348 0.5668
0.8318 0.8348 0.9332
0.3318 0.6652 0.5668
0.3318 0.6652 0.9332
0.0939 0.6249 0.2500
0.9061 0.3751 0.7500
0.6682 0.3348 0.0668
0.6682 0.3348 0.4332
0.1682 0.1652 0.0668
0.1682 0.1652 0.4332
0.4061 0.1249 0.7500
```



No. 6
Here is crystalline Co2SnO4 at its relaxed geometry from the Materials Project. Energies are from PBE with a Hubbard U.

Results
**E_form**: -1.65 eV/atom
**Energy above the lowest structure with this stoichiometry**: 0 meV/atom
**Uncorrected energy**: -6.216 eV per atom

Geometry as POSCAR:
```
Co2SnO4
1.0
-3.0436 3.1526 4.3920
3.0436 -3.1526 4.3920
3.0436 3.1526 -4.3920
Co Sn O
4 2 8
direct
0.1118 0.8618 0.2500
0.8882 0.1382 0.7500
0.5000 0.0000 0.0000
0.5000 0.5000 0.5000
0.0000 0.5000 0.5000
0.5000 0.5000 0.0000
0.7483 0.2650 0.0168
0.7483 0.7315 0.4832
0.7466 0.2647 0.4819
0.2828 0.2647 0.0181
0.7172 0.7353 0.9819
0.2534 0.7353 0.5181
0.2517 0.2685 0.5168
0.2517 0.7350 0.9832
```



No. 7
Here is crystalline Co2SnO4 at its relaxed geometry from the Materials Project. Energies are from PBE with a Hubbard U.

Results
**E_form**: -1.20 eV/atom
**Energy above the lowest structure with this stoichiometry**: 448 meV/atom
**Uncorrected energy**: -5.767 eV per atom

Geometry as POSCAR:
```
Co2SnO4
1.0
6.1976 0.0000 0.0000
-3.0164 5.4404 0.0000
-0.3889 -3.2899 24.9887
Co Sn O
20 10 40
direct
0.3000 0.6635 0.0488
0.2124 0.5928 0.1974
0.6630 0.3303 0.0248
0.4901 0.2584 0.2543
0.4095 0.1907 0.3984
0.7524 0.1285 0.1250
0.8515 0.9266 0.2253
0.6896 0.8579 0.4539
0.6085 0.7904 0.5984
0.9497 0.7251 0.3255
0.0496 0.5248 0.4257
0.8868 0.4574 0.6540
0.8021 0.3875 0.7998
0.1491 0.3247 0.5257
0.2469 0.1235 0.6258
0.1001 0.0614 0.8514
0.3454 0.9228 0.7258
0.4338 0.7134 0.8266
0.0580 0.5265 0.9213
0.5484 0.5264 0.9210
0.0064 0.9882 0.9924
0.7520 0.6232 0.1258
0.2574 0.1292 0.1254
0.9497 0.2249 0.3256
0.4499 0.7250 0.3256
0.1491 0.8242 0.5258
0.6494 0.3246 0.5259
0.3450 0.4230 0.7254
0.8442 0.9224 0.7261
0.5516 0.0228 0.9208
0.4617 0.4700 0.0778
0.9279 0.4715 0.0788
0.5509 0.2817 0.1723
0.4610 0.0061 0.0781
0.6563 0.0673 0.2777
0.0461 0.2488 0.1710
0.9567 0.9728 0.0762
0.5842 0.7871 0.1710
0.1201 0.0674 0.2778
0.7482 0.8802 0.3715
0.6569 0.6040 0.2777
0.0482 0.7870 0.1715
0.2436 0.8488 0.3717
0.8555 0.6668 0.4779
0.1530 0.5696 0.2783
0.7791 0.3842 0.3717
0.3196 0.6671 0.4779
0.9477 0.4798 0.5716
0.8556 0.2028 0.4779
0.2456 0.3822 0.3719
0.4428 0.4484 0.5719
0.0505 0.2646 0.6779
0.9779 0.9833 0.5718
0.3518 0.1693 0.4789
0.5171 0.2662 0.6779
0.1457 0.0777 0.7705
0.0512 0.8014 0.6780
0.4446 0.9818 0.5722
0.6369 0.0433 0.7731
0.2562 0.8719 0.8780
0.1707 0.5786 0.7719
0.5476 0.7683 0.6790
0.7309 0.8682 0.8773
0.3615 0.6935 0.9707
0.2576 0.3948 0.8782
0.6382 0.5788 0.7725
0.8379 0.6426 0.9730
0.7447 0.3678 0.8807
0.3775 0.1844 0.9740
0.8392 0.1796 0.9741
```



No. 8
Here is crystalline ZnCoSn2O7 at its relaxed geometry from the Materials Project. Energies are from PBE with a Hubbard U.

Results
**E_form**: -1.54 eV/atom
**Uncorrected energy**: -5.596 eV per atom

Geometry as POSCAR:
```
ZnCoSn2O7
1.0
-8.4134 3.2457 11.1824
-3.1959 -6.3089 -0.5734
5.7523 -7.5413 6.5167
Zn Co Sn O
8 8 16 56
direct
0.5009 0.9310 0.8406
0.8943 0.6824 0.9227
0.3943 0.3176 0.5773
0.1057 0.3176 0.0773
0.6057 0.6824 0.4227
0.9991 0.9310 0.3406
0.4991 0.0690 0.1594
0.0009 0.0690 0.6594
0.6548 0.3586 0.0962
0.1548 0.6414 0.4038
0.3452 0.6414 0.9038
0.8452 0.3586 0.5962
0.7583 0.0136 0.2709
0.2583 0.9864 0.2291
0.2417 0.9864 0.7291
0.7417 0.0136 0.7709
0.9007 0.1197 0.0059
0.0185 0.6025 0.6776
0.4815 0.6025 0.1776
0.9815 0.3975 0.3224
0.7400 0.5034 0.7952
0.2400 0.4966 0.7048
0.2600 0.4966 0.2048
0.7600 0.5034 0.2952
0.5185 0.3975 0.8224
0.1775 0.0978 0.4677
0.6775 0.9022 0.0323
0.8225 0.9022 0.5323
0.4007 0.8803 0.4941
0.5993 0.1197 0.5059
0.0993 0.8803 0.9941
0.3225 0.0978 0.9677
0.0393 0.1675 0.9866
0.5393 0.8325 0.5134
0.9607 0.8325 0.0134
0.4607 0.1675 0.4866
0.7928 0.0287 0.9195
0.2928 0.9713 0.5805
0.2072 0.9713 0.0805
0.7072 0.0287 0.4195
0.8195 0.9604 0.1462
0.3195 0.0396 0.3538
0.1805 0.0396 0.8538
0.6805 0.9604 0.6462
0.3128 0.3836 0.8676
0.8128 0.6164 0.6324
0.6872 0.6164 0.1324
0.1872 0.3836 0.3676
0.3666 0.9857 0.1462
0.8666 0.0143 0.3538
0.6334 0.0143 0.8538
0.1334 0.9857 0.6462
0.3539 0.9493 0.8459
0.4618 0.6584 0.8244
0.8539 0.0507 0.6541
0.1461 0.9493 0.3459
0.4902 0.2248 0.7137
0.9902 0.7752 0.7863
0.5098 0.7752 0.2863
0.0098 0.2248 0.2137
0.4658 0.1882 0.9694
0.9658 0.8118 0.5306
0.5342 0.8118 0.0306
0.0342 0.1882 0.4694
0.8845 0.5376 0.1926
0.3845 0.4624 0.3074
0.1155 0.4624 0.8074
0.6155 0.5376 0.6926
0.7536 0.2808 0.2111
0.2536 0.7192 0.2889
0.2464 0.7192 0.7889
0.7464 0.2808 0.7111
0.6442 0.4066 0.4210
0.1442 0.5934 0.0790
0.3558 0.5934 0.5790
0.8558 0.4066 0.9210
0.7347 0.7445 0.3498
0.2347 0.2555 0.1502
0.2653 0.2555 0.6502
0.7653 0.7445 0.8498
0.8590 0.3947 0.4330
0.3590 0.6053 0.0670
0.1410 0.6053 0.5670
0.6410 0.3947 0.9330
0.0382 0.6584 0.3244
0.5382 0.3416 0.1756
0.9618 0.3416 0.6756
0.6461 0.0507 0.1541
```